Li9Mn2Co5O16: relaxed, PBE+U.

extended XYZ file:
```
32
Lattice="-0.8847 -2.8908 -0.0673 9.3249 -3.3678 -0.1998 2.4831 -2.3541 9.6707" Properties=species:S:1:pos:R:3 pbc="T T T"
Li 5.0440 -4.9625 5.9193
O 8.2761 -6.2135 6.4991
Mn 3.3881 -4.3596 2.2517
Li 9.2125 -6.4078 8.2371
Co 2.4514 -4.0068 7.1759
O 4.9827 -3.4530 1.5617
O 9.2204 -4.8824 3.8471
Li 0.7744 -3.4209 3.5365
O 6.0006 -5.1987 7.7652
O 4.0897 -2.9476 6.5325
Co 6.7005 -5.4796 9.4977
O 11.0306 -5.5554 7.7134
Co 3.3616 -2.7222 4.7746
O 2.6402 -2.3676 3.0086
O -0.1649 -3.2013 1.7299
O 6.7921 -3.9737 5.5134
O 1.7053 -3.7736 5.4203
Li 10.0609 -5.1429 5.8463
Co 7.5883 -4.2520 7.0324
O 6.8565 -5.5426 2.7849
O 2.6249 -4.0275 0.4774
Li 7.5671 -5.8709 4.6492
Co 8.4235 -4.5825 2.3346
Mn 9.3116 -3.3906 -0.1675
O 3.2108 -4.3639 8.9427
O 4.1392 -4.5551 4.0578
Li 5.9012 -5.3098 1.0244
Li 5.9794 -3.7126 3.5307
O 8.2664 -4.5648 8.8170
O 7.7174 -4.3017 0.5395
Li 1.6802 -2.1868 1.1434
Li 5.0461 -3.3107 8.3939
```

Output
- MP2020-corrected energy: -6.482 eV per atom
- Energy: -184.91 eV for the cell shown
- Formation enthalpy at 0 K: -172.50 kJ per mole of atoms